# 1
DFT (PBE with a Hubbard U) results for an optimized crystal structure of NaNdMnWO6.

Calculated values
The polymorph energy (0 for the lowest one) comes out at 0.00 kcal/mol of atoms. The volume comes out at 12.86 Å³/atom. The formation energy is -2.6591 eV/atom.

a b c (Å): 5.585 5.706 8.071
angles (deg): 90.00 90.10 90.00
Element x y z (fractional)
Na  0.248  0.000  0.001
Na  0.752  0.500  0.999
Nd  0.261  0.922  0.501
Nd  0.739  0.422  0.499
Mn  0.249  0.468  0.761
Mn  0.751  0.968  0.239
W  0.243  0.476  0.241
W  0.757  0.976  0.759
O  0.045  0.799  0.777
O  0.079  0.772  0.217
O  0.155  0.505  0.492
O  0.333  0.444  0.019
O  0.444  0.206  0.313
O  0.475  0.175  0.688
O  0.525  0.675  0.312
O  0.556  0.706  0.687
O  0.667  0.944  0.981
O  0.845  0.005  0.508
O  0.921  0.272  0.783
O  0.955  0.299  0.223

=====

# 2
DFT (PBE with a Hubbard U) results for an optimized crystal structure of Na2MnNiO4.

Calculated values
The volume comes out at 10.84 Å³/atom. The formation energy is -1.5637 eV/atom.

a b c (Å): 10.869 10.869 10.869
angles (deg): 16.16 16.16 16.16
Element x y z (fractional)
Na  0.247  0.247  0.247
Na  0.753  0.753  0.753
Mn  0.000  0.000  0.000
Ni  0.500  0.500  0.500
O  0.134  0.134  0.134
O  0.366  0.366  0.366
O  0.634  0.634  0.634
O  0.866  0.866  0.866

=====

# 3
DFT (PBE with a Hubbard U) results for an optimized crystal structure of Na2MnO2.

Calculated values
The volume comes out at 15.38 Å³/atom. The formation energy is -1.6630 eV/atom.

a b c (Å): 8.747 5.478 15.430
angles (deg): 90.00 123.71 90.00
Element x y z (fractional)
Na  0.091  0.007  0.307
Na  0.091  0.493  0.807
Na  0.135  0.590  0.457
Na  0.135  0.910  0.957
Na  0.357  0.509  0.736
Na  0.357  0.991  0.236
Na  0.400  0.072  0.865
Na  0.400  0.428  0.365
Na  0.600  0.572  0.635
Na  0.600  0.928  0.135
Na  0.643  0.009  0.764
Na  0.643  0.491  0.264
Na  0.865  0.090  0.043
Na  0.865  0.410  0.543
Na  0.909  0.507  0.193
Na  0.909  0.993  0.693
Mn  0.149  0.005  0.612
Mn  0.149  0.495  0.112
Mn  0.374  0.044  0.529
Mn  0.374  0.456  0.029
Mn  0.626  0.544  0.971
Mn  0.626  0.956  0.471
Mn  0.851  0.505  0.888
Mn  0.851  0.995  0.388
O  0.111  0.174  0.470
O  0.111  0.326  0.970
O  0.136  0.235  0.708
O  0.136  0.265  0.208
O  0.367  0.699  0.133
O  0.367  0.801  0.633
O  0.375  0.693  0.919
O  0.375  0.807  0.419
O  0.625  0.193  0.581
O  0.625  0.307  0.081
O  0.633  0.199  0.367
O  0.633  0.301  0.867
O  0.864  0.735  0.792
O  0.864  0.765  0.292
O  0.889  0.674  0.030
O  0.889  0.826  0.530

=====

# 4
DFT (PBE with a Hubbard U) results for an optimized crystal structure of NaMn8O16.

Calculated values
The polymorph energy (0 for the lowest one) comes out at 0.00 kcal/mol of atoms. The volume comes out at 11.71 Å³/atom. The formation energy is -1.8770 eV/atom.

a b c (Å): 5.891 9.924 10.019
angles (deg): 89.34 89.89 89.90
Element x y z (fractional)
Na  0.000  0.000  0.000
Na  0.250  0.499  0.500
Mn  0.000  0.348  0.834
Mn  0.000  0.834  0.649
Mn  0.249  0.152  0.665
Mn  0.250  0.669  0.852
Mn  0.250  0.849  0.334
Mn  0.252  0.333  0.149
Mn  0.499  0.833  0.650
Mn  0.501  0.170  0.350
Mn  0.501  0.348  0.836
Mn  0.501  0.651  0.166
Mn  0.746  0.152  0.666
Mn  0.748  0.848  0.336
Mn  0.749  0.669  0.850
Mn  0.752  0.334  0.150
Mn  0.998  0.650  0.166
Mn  0.999  0.170  0.352
O  0.000  0.543  0.839
O  0.000  0.845  0.203
O  0.001  0.202  0.158
O  0.001  0.828  0.457
O  0.003  0.457  0.159
O  0.243  0.345  0.700
O  0.249  0.328  0.956
O  0.249  0.652  0.297
O  0.249  0.671  0.044
O  0.249  0.957  0.659
O  0.250  0.044  0.340
O  0.250  0.702  0.657
O  0.251  0.304  0.343
O  0.496  0.829  0.458
O  0.498  0.147  0.791
O  0.498  0.173  0.543
O  0.498  0.844  0.205
O  0.500  0.457  0.156
O  0.500  0.545  0.841
O  0.500  0.799  0.843
O  0.502  0.204  0.158
O  0.749  0.300  0.344
O  0.749  0.345  0.706
O  0.749  0.643  0.290
O  0.749  0.957  0.658
O  0.750  0.047  0.341
O  0.750  0.671  0.043
O  0.750  0.704  0.657
O  0.755  0.328  0.959
O  0.998  0.169  0.544
O  0.998  0.804  0.843
O  0.999  0.152  0.797

=====

# 5
DFT (PBE with a Hubbard U) results for an optimized crystal structure of NaMn2O4.

Calculated values
The polymorph energy (0 for the lowest one) comes out at 0.12 kcal/mol of atoms. The volume comes out at 12.42 Å³/atom. The formation energy is -1.9758 eV/atom.

a b c (Å): 3.015 5.153 5.862
angles (deg): 106.94 91.06 93.36
Element x y z (fractional)
Na  0.000  0.000  0.000
Mn  0.000  0.500  0.500
Mn  0.500  0.000  0.500
O  0.025  0.216  0.675
O  0.464  0.751  0.690
O  0.536  0.249  0.310
O  0.975  0.784  0.325

=====

# 6
DFT (PBE with a Hubbard U) results for an optimized crystal structure of Na9Mn21O40.

Calculated values
The volume comes out at 11.72 Å³/atom. The formation energy is -1.9560 eV/atom.

a b c (Å): 6.248 6.248 21.461
angles (deg): 97.28 97.28 94.77
Element x y z (fractional)
Na  0.000  0.000  0.000
Na  0.072  0.528  0.100
Na  0.210  0.198  0.398
Na  0.399  0.399  0.800
Na  0.472  0.928  0.900
Na  0.601  0.601  0.200
Na  0.673  0.134  0.302
Na  0.802  0.790  0.602
Na  0.866  0.327  0.698
Mn  0.036  0.258  0.549
Mn  0.135  0.864  0.750
Mn  0.136  0.865  0.250
Mn  0.137  0.364  0.250
Mn  0.236  0.464  0.950
Mn  0.264  0.736  0.500
Mn  0.329  0.566  0.650
Mn  0.333  0.064  0.650
Mn  0.337  0.065  0.150
Mn  0.434  0.671  0.350
Mn  0.536  0.265  0.050
Mn  0.536  0.764  0.050
Mn  0.540  0.259  0.549
Mn  0.636  0.863  0.750
Mn  0.735  0.464  0.950
Mn  0.741  0.460  0.451
Mn  0.742  0.964  0.451
Mn  0.836  0.065  0.150
Mn  0.935  0.164  0.850
Mn  0.935  0.663  0.850
Mn  0.936  0.667  0.350
O  0.106  0.844  0.158
O  0.107  0.266  0.157
O  0.114  0.834  0.659
O  0.135  0.292  0.643
O  0.136  0.435  0.857
O  0.156  0.894  0.842
O  0.164  0.465  0.343
O  0.166  0.886  0.341
O  0.285  0.491  0.555
O  0.301  0.029  0.556
O  0.316  0.034  0.058
O  0.335  0.494  0.043
O  0.337  0.635  0.257
O  0.358  0.094  0.242
O  0.365  0.663  0.743
O  0.366  0.085  0.742
O  0.505  0.243  0.958
O  0.506  0.665  0.957
O  0.509  0.715  0.445
O  0.522  0.226  0.457
O  0.535  0.836  0.657
O  0.548  0.299  0.641
O  0.565  0.864  0.143
O  0.566  0.286  0.142
O  0.701  0.452  0.359
O  0.708  0.865  0.357
O  0.714  0.434  0.858
O  0.734  0.893  0.843
O  0.737  0.036  0.057
O  0.757  0.495  0.042
O  0.774  0.478  0.543
O  0.782  0.048  0.543
O  0.906  0.065  0.757
O  0.906  0.642  0.758
O  0.915  0.634  0.258
O  0.935  0.094  0.243
O  0.952  0.218  0.457
O  0.964  0.263  0.943
O  0.966  0.684  0.942
O  0.971  0.699  0.444

=====

# 7
DFT (PBE with a Hubbard U) results for an optimized crystal structure of NaMn10O20.

Calculated values
The volume comes out at 11.72 Å³/atom. The formation energy is -1.7949 eV/atom.

a b c (Å): 10.222 10.222 10.222
angles (deg): 99.59 99.59 131.81
Element x y z (fractional)
Na  0.375  0.125  0.250
Na  0.625  0.875  0.750
Mn  0.000  0.000  0.000
Mn  0.097  0.201  0.300
Mn  0.097  0.695  0.300
Mn  0.105  0.203  0.800
Mn  0.195  0.395  0.598
Mn  0.296  0.597  0.396
Mn  0.297  0.597  0.902
Mn  0.299  0.100  0.896
Mn  0.400  0.796  0.200
Mn  0.500  0.000  0.000
Mn  0.500  0.000  0.500
Mn  0.500  0.500  0.500
Mn  0.600  0.204  0.800
Mn  0.701  0.900  0.104
Mn  0.703  0.403  0.098
Mn  0.704  0.403  0.604
Mn  0.805  0.605  0.402
Mn  0.895  0.797  0.200
Mn  0.903  0.305  0.700
Mn  0.903  0.799  0.700
O  0.029  0.822  0.380
O  0.056  0.874  0.895
O  0.058  0.352  0.880
O  0.075  0.357  0.405
O  0.113  0.038  0.193
O  0.143  0.048  0.718
O  0.148  0.529  0.707
O  0.170  0.575  0.218
O  0.230  0.222  0.981
O  0.251  0.270  0.492
O  0.260  0.751  0.481
O  0.278  0.760  0.008
O  0.322  0.442  0.793
O  0.338  0.444  0.318
O  0.345  0.921  0.307
O  0.374  0.979  0.818
O  0.421  0.613  0.576
O  0.452  0.670  0.095
O  0.462  0.155  0.076
O  0.479  0.162  0.605
O  0.521  0.838  0.395
O  0.538  0.845  0.924
O  0.548  0.330  0.905
O  0.579  0.387  0.424
O  0.626  0.021  0.182
O  0.655  0.079  0.693
O  0.662  0.556  0.682
O  0.678  0.558  0.207
O  0.722  0.240  0.992
O  0.740  0.249  0.519
O  0.749  0.730  0.508
O  0.770  0.778  0.019
O  0.830  0.425  0.782
O  0.852  0.471  0.293
O  0.857  0.952  0.282
O  0.887  0.962  0.807
O  0.925  0.643  0.595
O  0.942  0.648  0.120
O  0.944  0.126  0.105
O  0.971  0.178  0.620

=====

# 8
DFT (PBE with a Hubbard U) results for an optimized crystal structure of Na6Mn7O10.

Calculated values
The volume comes out at 14.24 Å³/atom. The formation energy is -1.7391 eV/atom.

a b c (Å): 11.338 11.338 8.706
angles (deg): 107.50 107.50 17.89
Element x y z (fractional)
Na  0.000  0.000  0.000
Na  0.008  0.008  0.350
Na  0.134  0.134  0.917
Na  0.302  0.302  0.576
Na  0.725  0.725  0.826
Na  0.901  0.901  0.436
Mn  0.164  0.164  0.457
Mn  0.366  0.366  0.144
Mn  0.457  0.457  0.712
Mn  0.573  0.573  0.649
Mn  0.611  0.611  0.138
Mn  0.758  0.758  0.261
Mn  0.859  0.859  0.876
O  0.090  0.090  0.235
O  0.124  0.124  0.646
O  0.309  0.309  0.879
O  0.319  0.319  0.314
O  0.482  0.482  0.501
O  0.546  0.546  0.882
O  0.688  0.688  0.055
O  0.719  0.719  0.463
O  0.906  0.906  0.711
O  0.914  0.914  0.123

=====

# 9
DFT (PBE with a Hubbard U) results for an optimized crystal structure of Na2MnO4.

Calculated values
The volume comes out at 14.50 Å³/atom. The formation energy is -1.5645 eV/atom.

a b c (Å): 5.886 5.886 6.768
angles (deg): 90.07 90.07 120.01
Element x y z (fractional)
Na  0.000  0.000  0.000
Na  0.000  0.000  0.500
Na  0.331  0.665  0.382
Na  0.665  0.331  0.882
Mn  0.334  0.667  0.819
Mn  0.667  0.334  0.319
O  0.180  0.357  0.736
O  0.182  0.824  0.735
O  0.327  0.661  0.060
O  0.357  0.180  0.236
O  0.641  0.822  0.734
O  0.661  0.327  0.560
O  0.822  0.641  0.234
O  0.824  0.182  0.235

=====

# 10
DFT (PBE with a Hubbard U) results for an optimized crystal structure of NaMn2O4.

Calculated values
The polymorph energy (0 for the lowest one) comes out at 1.06 kcal/mol of atoms. The volume comes out at 11.59 Å³/atom. The formation energy is -1.9351 eV/atom.

a b c (Å): 2.924 5.922 9.371
angles (deg): 90.00 90.00 90.00
Element x y z (fractional)
Na  0.000  0.133  0.000
Na  0.000  0.867  0.500
Mn  0.000  0.388  0.403
Mn  0.000  0.612  0.903
Mn  0.500  0.283  0.677
Mn  0.500  0.717  0.177
O  0.000  0.084  0.716
O  0.000  0.494  0.633
O  0.000  0.506  0.133
O  0.000  0.916  0.216
O  0.500  0.192  0.470
O  0.500  0.399  0.869
O  0.500  0.601  0.369
O  0.500  0.808  0.970

=====

# 11
DFT (PBE with a Hubbard U) results for an optimized crystal structure of Na6MnO4.

Calculated values
The polymorph energy (0 for the lowest one) comes out at 0.00 kcal/mol of atoms. The volume comes out at 14.45 Å³/atom. The formation energy is -1.5569 eV/atom.

a b c (Å): 7.590 9.385 9.385
angles (deg): 107.94 90.00 90.00
Element x y z (fractional)
O  0.750  0.531  0.033
O  0.498  0.407  0.657
Na  0.537  0.357  0.893
Na  0.037  0.144  0.607
Na  0.537  0.144  0.106
Na  0.963  0.643  0.606
Na  0.750  0.041  0.291
O  0.002  0.907  0.157
Na  0.463  0.644  0.106
Na  0.463  0.356  0.393
O  0.250  0.969  0.467
O  0.998  0.593  0.343
O  0.498  0.907  0.157
Na  0.963  0.356  0.893
Na  0.537  0.857  0.393
Na  0.250  0.459  0.209
Na  0.037  0.356  0.393
O  0.250  0.217  0.219
Na  0.963  0.143  0.106
O  0.002  0.407  0.657
O  0.250  0.469  0.967
Na  0.750  0.791  0.041
Na  0.250  0.209  0.959
O  0.750  0.283  0.281
Na  0.037  0.856  0.893
Na  0.463  0.144  0.606
Mn  0.250  0.500  0.750
Na  0.750  0.291  0.541
O  0.998  0.093  0.843
O  0.502  0.593  0.343
Na  0.037  0.644  0.107
O  0.250  0.717  0.719
O  0.750  0.031  0.533
Na  0.463  0.856  0.893
O  0.502  0.093  0.843
Na  0.250  0.959  0.709
Mn  0.750  0.500  0.250
Mn  0.250  0.000  0.250
Na  0.750  0.541  0.791
Na  0.963  0.856  0.393
O  0.750  0.783  0.781
Na  0.250  0.709  0.459
Na  0.537  0.644  0.606
Mn  0.750  0.000  0.750

=====

Number 11 is which compound? Na6MnO4